# 1
An optimized crystal structure of CsHC2O4, computed with PBE-GGA.

Values from the calculation:
- raw total energy (eV/atom) = -6.61
- symmetry = No. 14
- total magnetic moment (μB per cell) = 0.00

Unit cell a=10.4972 b=7.0678 c=7.0584 alpha=90.00 beta=97.91 gamma=90.00
With the nearest neighbours (Å) after each atom.
Sites, in units of the cell vectors:
Cs (0.2289, 0.0171, 0.4937)  7 O 3.08-3.30, 2 H 3.23-3.27
Cs (0.2289, 0.4829, 0.9937)  7 O 3.08-3.30, 2 H 3.23-3.27
Cs (0.7711, 0.5171, 0.0063)  7 O 3.08-3.30, 2 H 3.23-3.27
Cs (0.7711, 0.9829, 0.5063)  7 O 3.08-3.30, 2 H 3.23-3.27
H (0.2871, 0.5718, 0.5587)  1 O 1.13
H (0.2871, 0.9282, 0.0587)  1 O 1.13
H (0.7129, 0.0718, 0.9413)  1 O 1.13
H (0.7129, 0.4282, 0.4413)  1 O 1.13
C (0.0668, 0.0179, 0.9636)  2 O 1.25-1.29
C (0.0668, 0.4821, 0.4636)  2 O 1.25-1.29
C (0.4975, 0.5835, 0.5717)  2 O 1.24-1.30
C (0.4975, 0.9165, 0.0717)  2 O 1.24-1.30
C (0.5025, 0.0835, 0.9283)  2 O 1.24-1.30
C (0.5025, 0.4165, 0.4283)  2 O 1.24-1.30
C (0.9332, 0.5179, 0.5364)  2 O 1.25-1.29
C (0.9332, 0.9821, 0.0364)  2 O 1.25-1.29
O (0.0721, 0.1228, 0.8228)  1 C 1.25
O (0.0721, 0.3772, 0.3228)  1 C 1.25
O (0.1614, 0.5689, 0.5635)  1 C 1.29, 1 H 1.32
O (0.1614, 0.9311, 0.0635)  1 C 1.29, 1 H 1.32
O (0.3849, 0.6343, 0.6121)  1 H 1.13
O (0.3849, 0.8657, 0.1121)  1 H 1.13
O (0.4021, 0.1624, 0.8576)  1 C 1.24
O (0.4021, 0.3376, 0.3576)  1 C 1.24
O (0.5979, 0.6624, 0.6424)  1 C 1.24
O (0.5979, 0.8376, 0.1424)  1 C 1.24
O (0.6151, 0.1343, 0.8879)  1 H 1.13
O (0.6151, 0.3657, 0.3879)  1 H 1.13
O (0.8386, 0.0689, 0.9365)  1 C 1.29, 1 H 1.32
O (0.8386, 0.4311, 0.4365)  1 C 1.29, 1 H 1.32
O (0.9279, 0.6228, 0.6772)  1 C 1.25
O (0.9279, 0.8772, 0.1772)  1 C 1.25

***

# 2
An optimized crystal structure of Cs2H6CO6, computed with PBE-GGA.

Values from the calculation:
- raw total energy (eV/atom) = -5.40
- symmetry = No. 13
- total magnetic moment (μB per cell) = 0.00

Unit cell a=6.6530 b=6.8187 c=8.9529 alpha=90.00 beta=90.64 gamma=90.00
With the nearest neighbours (Å) after each atom.
Sites, in units of the cell vectors:
Cs (0.2454, 0.1537, 0.0743)  2 H 3.02-3.16, 8 O 3.05-3.38
Cs (0.2454, 0.8463, 0.5743)  2 H 3.02-3.16, 8 O 3.05-3.38
Cs (0.7546, 0.1537, 0.4257)  2 H 3.02-3.16, 8 O 3.05-3.38
Cs (0.7546, 0.8463, 0.9257)  2 H 3.02-3.16, 8 O 3.05-3.38
H (0.1194, 0.2766, 0.7456)  1 O 1.00
H (0.1194, 0.7234, 0.2456)  1 O 1.00
H (0.2706, 0.3423, 0.5285)  1 O 0.99
H (0.2706, 0.6577, 0.0285)  1 O 0.99
H (0.2771, 0.3960, 0.3563)  1 O 1.00
H (0.2771, 0.6040, 0.8563)  1 O 1.00
H (0.7229, 0.3960, 0.1437)  1 O 1.00
H (0.7229, 0.6040, 0.6437)  1 O 1.00
H (0.7294, 0.3423, 0.9715)  1 O 0.99
H (0.7294, 0.6577, 0.4715)  1 O 0.99
H (0.8806, 0.2766, 0.7544)  1 O 1.00
H (0.8806, 0.7234, 0.2544)  1 O 1.00
C (0.5000, 0.3290, 0.7500)  3 O 1.28-1.32
C (0.5000, 0.6710, 0.2500)  3 O 1.28-1.32
O (0.0000, 0.1880, 0.7500)  2 H 1.00
O (0.0000, 0.8120, 0.2500)  2 H 1.00
O (0.2396, 0.2898, 0.4273)  2 H 0.99-1.00
O (0.2396, 0.7102, 0.9273)  2 H 0.99-1.00
O (0.3334, 0.4279, 0.7220)  1 C 1.32
O (0.3334, 0.5721, 0.2220)  1 C 1.32
O (0.5000, 0.1411, 0.7500)  1 C 1.28
O (0.5000, 0.8589, 0.2500)  1 C 1.28
O (0.6666, 0.4279, 0.7780)  1 C 1.32
O (0.6666, 0.5721, 0.2780)  1 C 1.32
O (0.7604, 0.2898, 0.0727)  2 H 0.99-1.00
O (0.7604, 0.7102, 0.5727)  2 H 0.99-1.00

***

# 3
An optimized crystal structure of CsHCO3, computed with PBE-GGA.

Values from the calculation:
- raw total energy (eV/atom) = -6.25
- symmetry = No. 14
- total magnetic moment (μB per cell) = 0.00

Unit cell a=4.7831 b=11.2652 c=8.0567 alpha=90.00 beta=102.85 gamma=90.00
With the nearest neighbours (Å) after each atom.
Sites, in units of the cell vectors:
Cs (0.0685, 0.1758, 0.4148)  6 O 3.04-3.37, 1 H 3.27
Cs (0.0685, 0.3242, 0.9148)  6 O 3.04-3.37, 1 H 3.27
Cs (0.9315, 0.6758, 0.0852)  6 O 3.04-3.37, 1 H 3.27
Cs (0.9315, 0.8242, 0.5852)  6 O 3.04-3.37, 1 H 3.27
H (0.4968, 0.5973, 0.4971)  1 O 1.03
H (0.4968, 0.9027, 0.9971)  1 O 1.03
H (0.5032, 0.0973, 0.0029)  1 O 1.03
H (0.5032, 0.4027, 0.5029)  1 O 1.03
C (0.3287, 0.5476, 0.6908)  3 O 1.26-1.37
C (0.3287, 0.9524, 0.1908)  3 O 1.26-1.37
C (0.6713, 0.0476, 0.8092)  3 O 1.26-1.37
C (0.6713, 0.4524, 0.3092)  3 O 1.26-1.37
O (0.2121, 0.5829, 0.8080)  1 C 1.26
O (0.2121, 0.9171, 0.3080)  1 C 1.26
O (0.3734, 0.0611, 0.1563)  1 C 1.28
O (0.3734, 0.4389, 0.6563)  1 C 1.28
O (0.4152, 0.6343, 0.5932)  1 H 1.03
O (0.4152, 0.8657, 0.0932)  1 H 1.03
O (0.5848, 0.1343, 0.9068)  1 H 1.03
O (0.5848, 0.3657, 0.4068)  1 H 1.03
O (0.6266, 0.5611, 0.3437)  1 C 1.28
O (0.6266, 0.9389, 0.8437)  1 C 1.28
O (0.7879, 0.0829, 0.6920)  1 C 1.26
O (0.7879, 0.4171, 0.1920)  1 C 1.26

***

# 4
An optimized crystal structure of CsH7C4O10, computed with PBE-GGA.

Values from the calculation:
- raw total energy (eV/atom) = -6.19
- symmetry = No. 2
- total magnetic moment (μB per cell) = 0.00

Unit cell a=6.4530 b=7.4964 c=10.9374 alpha=94.01 beta=99.85 gamma=96.46
With the nearest neighbours (Å) after each atom.
Sites, in units of the cell vectors:
Cs (0.1550, 0.1509, 0.2800)  8 O 3.07-3.42
Cs (0.8450, 0.8491, 0.7200)  8 O 3.07-3.42
H (0.0701, 0.3177, 0.9099)  1 O 0.98
H (0.1522, 0.6486, 0.2573)  1 O 1.05
H (0.1608, 0.7730, 0.0806)  1 O 0.98
H (0.2607, 0.2088, 0.6192)  1 O 1.00
H (0.2839, 0.9998, 0.5891)  1 O 0.99
H (0.3453, 0.5665, 0.7669)  1 O 1.10
H (0.3878, 0.0873, 0.7680)  1 O 1.09
H (0.6122, 0.9127, 0.2320)  1 O 1.09
H (0.6547, 0.4335, 0.2331)  1 O 1.10
H (0.7161, 0.0002, 0.4109)  1 O 0.99
H (0.7393, 0.7912, 0.3808)  1 O 1.00
H (0.8392, 0.2270, 0.9194)  1 O 0.98
H (0.8478, 0.3514, 0.7427)  1 O 1.05
H (0.9299, 0.6823, 0.0901)  1 O 0.98
C (0.2497, 0.6779, 0.4424)  2 O 1.23-1.32
C (0.2798, 0.5630, 0.5566)  2 O 1.26-1.28
C (0.4191, 0.9963, 0.9386)  2 O 1.24-1.31
C (0.4910, 0.4533, 0.0604)  2 O 1.24-1.31
C (0.5090, 0.5467, 0.9396)  2 O 1.24-1.31
C (0.5809, 0.0037, 0.0614)  2 O 1.24-1.31
C (0.7202, 0.4370, 0.4434)  2 O 1.26-1.28
C (0.7503, 0.3221, 0.5576)  2 O 1.23-1.32
O (0.0715, 0.7269, 0.1384)  2 H 0.98
O (0.1900, 0.5779, 0.3355)  1 H 1.05
O (0.2402, 0.9106, 0.9260)  1 C 1.24
O (0.2532, 0.3944, 0.5359)  1 C 1.26
O (0.2550, 0.0887, 0.6536)  2 H 0.99-1.00
O (0.2789, 0.8442, 0.4546)  1 C 1.23
O (0.3279, 0.6569, 0.6616)  1 C 1.28, 1 H 1.37
O (0.3347, 0.3451, 0.0667)  1 C 1.24
O (0.3439, 0.4967, 0.8518)  1 H 1.10
O (0.4969, 0.0879, 0.8555)  1 H 1.09
O (0.5031, 0.9121, 0.1445)  1 H 1.09
O (0.6561, 0.5033, 0.1482)  1 H 1.10
O (0.6653, 0.6549, 0.9333)  1 C 1.24
O (0.6721, 0.3431, 0.3384)  1 C 1.28, 1 H 1.37
O (0.7211, 0.1558, 0.5454)  1 C 1.23
O (0.7450, 0.9113, 0.3464)  2 H 0.99-1.00
O (0.7468, 0.6056, 0.4641)  1 C 1.26
O (0.7598, 0.0894, 0.0740)  1 C 1.24
O (0.8100, 0.4221, 0.6645)  1 H 1.05
O (0.9285, 0.2731, 0.8616)  2 H 0.98

***

# 5
An optimized crystal structure of CsH2CO3, computed with PBE-GGA.

Values from the calculation:
- raw total energy (eV/atom) = -5.86
- symmetry = No. 14
- total magnetic moment (μB per cell) = 0.00

Unit cell a=6.2733 b=10.9886 c=6.2762 alpha=90.00 beta=111.01 gamma=90.00
With the nearest neighbours (Å) after each atom.
Sites, in units of the cell vectors:
Cs (0.1097, 0.1160, 0.2911)  4 H 3.10-3.45, 9 O 3.18-3.44
Cs (0.1097, 0.3840, 0.7911)  4 H 3.10-3.45, 9 O 3.18-3.44
Cs (0.8903, 0.6160, 0.2089)  4 H 3.10-3.45, 9 O 3.18-3.44
Cs (0.8903, 0.8840, 0.7089)  4 H 3.10-3.45, 9 O 3.18-3.44
H (0.3371, 0.6381, 0.8907)  1 O 0.99
H (0.3371, 0.8619, 0.3907)  1 O 0.99
H (0.3486, 0.7330, 0.0836)  1 O 1.00
H (0.3486, 0.7670, 0.5836)  1 O 1.00
H (0.6514, 0.2330, 0.4164)  1 O 1.00
H (0.6514, 0.2670, 0.9164)  1 O 1.00
H (0.6629, 0.1381, 0.6093)  1 O 0.99
H (0.6629, 0.3619, 0.1093)  1 O 0.99
C (0.4722, 0.0603, 0.9254)  2 O 1.26-1.28
C (0.4722, 0.4397, 0.4254)  2 O 1.26-1.28
C (0.5278, 0.5603, 0.5746)  2 O 1.26-1.28
C (0.5278, 0.9397, 0.0746)  2 O 1.26-1.28
O (0.2749, 0.1052, 0.8687)  1 C 1.26
O (0.2749, 0.3948, 0.3687)  1 C 1.26
O (0.3072, 0.6473, 0.0343)  2 H 0.99-1.00
O (0.3072, 0.8527, 0.5343)  2 H 0.99-1.00
O (0.3629, 0.6047, 0.6255)  1 C 1.28
O (0.3629, 0.8953, 0.1255)  1 C 1.28
O (0.6371, 0.1047, 0.8745)  1 C 1.28
O (0.6371, 0.3953, 0.3745)  1 C 1.28
O (0.6928, 0.1473, 0.4657)  2 H 0.99-1.00
O (0.6928, 0.3527, 0.9657)  2 H 0.99-1.00
O (0.7251, 0.6052, 0.6313)  1 C 1.26
O (0.7251, 0.8948, 0.1313)  1 C 1.26